# 1
{
  "formula": "LiFeP5O15",
  "functional": "GGA+U",
  "state": "relaxed",
  "sg": "P2_1/c (14)",
  "e_form_mev_per_atom": -2424,
  "magmom_total_mub_per_fu": 5.3,
  "lattice_angstrom": [[13.725, 0.000, 0.000], [0.000, 9.056, 0.000], [0.000, 1.920, 10.163]],
  "species": ["O", "O", "O", "O", "O", "O", "O", "O", "O", "O", "O", "O", "O", "O", "O", "O", "O", "O", "O", "O", "O", "O", "O", "O", "O", "O", "O", "O", "O", "O", "O", "O", "O", "O", "O", "O", "O", "O", "O", "O", "O", "O", "O", "O", "O", "O", "O", "O", "O", "O", "O", "O", "O", "O", "O", "O", "O", "O", "O", "O", "P", "P", "P", "P", "P", "P", "P", "P", "P", "P", "P", "P", "P", "P", "P", "P", "P", "P", "P", "P", "Li", "Li", "Li", "Li", "Fe", "Fe", "Fe", "Fe"],
  "frac_coords": [[0.956, 0.935, 0.639], [0.749, 0.469, 0.723], [0.425, 0.559, 0.331], [0.982, 0.721, 0.505], [0.764, 0.108, 0.849], [0.143, 0.302, 0.809], [0.575, 0.441, 0.669], [0.152, 0.102, 0.006], [0.876, 0.498, 0.395], [0.124, 0.502, 0.605], [0.857, 0.698, 0.191], [0.490, 0.098, 0.343], [0.075, 0.559, 0.831], [0.353, 0.301, 0.815], [0.234, 0.921, 0.406], [0.923, 0.438, 0.669], [0.734, 0.079, 0.094], [0.652, 0.898, 0.494], [0.266, 0.921, 0.906], [0.482, 0.279, 0.995], [0.625, 0.504, 0.392], [0.264, 0.892, 0.651], [0.643, 0.698, 0.691], [0.736, 0.108, 0.349], [0.169, 0.122, 0.531], [0.518, 0.721, 0.005], [0.249, 0.531, 0.777], [0.348, 0.102, 0.506], [0.751, 0.469, 0.223], [0.925, 0.441, 0.169], [0.766, 0.079, 0.594], [0.018, 0.279, 0.495], [0.519, 0.714, 0.503], [0.848, 0.898, 0.994], [0.236, 0.892, 0.151], [0.481, 0.286, 0.497], [0.423, 0.562, 0.831], [0.990, 0.902, 0.157], [0.010, 0.098, 0.843], [0.831, 0.878, 0.469], [0.357, 0.302, 0.309], [0.077, 0.562, 0.331], [0.669, 0.878, 0.969], [0.125, 0.496, 0.108], [0.544, 0.935, 0.139], [0.875, 0.504, 0.892], [0.456, 0.065, 0.861], [0.251, 0.531, 0.277], [0.375, 0.496, 0.608], [0.981, 0.714, 0.003], [0.647, 0.699, 0.185], [0.510, 0.902, 0.657], [0.376, 0.502, 0.105], [0.147, 0.301, 0.315], [0.044, 0.065, 0.361], [0.853, 0.699, 0.685], [0.019, 0.286, 0.997], [0.624, 0.498, 0.895], [0.577, 0.438, 0.169], [0.331, 0.122, 0.031], [0.857, 0.523, 0.747], [0.416, 0.186, 0.925], [0.357, 0.477, 0.753], [0.748, 0.003, 0.479], [0.248, 0.997, 0.021], [0.143, 0.477, 0.253], [0.641, 0.521, 0.749], [0.573, 0.807, 0.589], [0.141, 0.479, 0.751], [0.643, 0.523, 0.247], [0.427, 0.193, 0.411], [0.073, 0.193, 0.911], [0.359, 0.479, 0.251], [0.084, 0.186, 0.425], [0.252, 0.997, 0.521], [0.584, 0.814, 0.075], [0.752, 0.003, 0.979], [0.859, 0.521, 0.249], [0.916, 0.814, 0.575], [0.927, 0.807, 0.089], [0.108, 0.909, 0.276], [0.892, 0.091, 0.724], [0.608, 0.091, 0.224], [0.392, 0.909, 0.776], [0.500, 0.500, 0.500], [0.000, 0.500, 0.000], [0.000, 0.500, 0.500], [0.500, 0.500, 0.000]]
}

# 2
{
  "formula": "Li3Fe2P3O12",
  "functional": "GGA+U",
  "state": "relaxed",
  "sg": "C2 (5)",
  "e_form_mev_per_atom": -2465,
  "magmom_total_mub_per_fu": 10.0,
  "lattice_angstrom": [[6.655, 7.189, 0.000], [-6.655, 7.189, 0.000], [0.000, 0.829, 9.716]],
  "species": ["P", "P", "P", "P", "P", "P", "P", "P", "P", "P", "P", "P", "Fe", "Fe", "Fe", "Fe", "Fe", "Fe", "Fe", "Fe", "Li", "Li", "Li", "Li", "Li", "Li", "Li", "Li", "Li", "Li", "Li", "Li", "O", "O", "O", "O", "O", "O", "O", "O", "O", "O", "O", "O", "O", "O", "O", "O", "O", "O", "O", "O", "O", "O", "O", "O", "O", "O", "O", "O", "O", "O", "O", "O", "O", "O", "O", "O", "O", "O", "O", "O", "O", "O", "O", "O", "O", "O", "O", "O"],
  "frac_coords": [[0.053, 0.174, 0.097], [0.180, 0.051, 0.594], [0.842, 0.551, 0.929], [0.555, 0.837, 0.429], [0.826, 0.947, 0.903], [0.449, 0.158, 0.071], [0.682, 0.339, 0.301], [0.163, 0.445, 0.571], [0.347, 0.682, 0.801], [0.949, 0.820, 0.406], [0.661, 0.318, 0.699], [0.318, 0.653, 0.199], [0.029, 0.747, 0.723], [0.527, 0.473, 0.000], [0.253, 0.971, 0.277], [0.474, 0.526, 0.500], [0.975, 0.254, 0.778], [0.746, 0.025, 0.222], [0.250, 0.750, 0.500], [0.752, 0.248, 0.000], [0.442, 0.210, 0.528], [0.989, 0.502, 0.235], [0.747, 0.999, 0.608], [0.001, 0.253, 0.392], [0.498, 0.011, 0.765], [0.069, 0.711, 0.032], [0.766, 0.732, 0.181], [0.622, 0.747, 0.799], [0.289, 0.931, 0.968], [0.790, 0.558, 0.472], [0.268, 0.234, 0.819], [0.253, 0.378, 0.201], [0.195, 0.579, 0.159], [0.875, 0.391, 0.925], [0.897, 0.698, 0.338], [0.597, 0.191, 0.652], [0.673, 0.376, 0.140], [0.624, 0.327, 0.860], [0.398, 0.100, 0.942], [0.403, 0.543, 0.865], [0.090, 0.406, 0.447], [0.109, 0.825, 0.373], [0.609, 0.456, 0.630], [0.904, 0.614, 0.793], [0.794, 0.909, 0.059], [0.684, 0.588, 0.930], [0.594, 0.910, 0.553], [0.544, 0.391, 0.370], [0.127, 0.032, 0.133], [0.191, 0.702, 0.843], [0.691, 0.181, 0.331], [0.626, 0.883, 0.289], [0.321, 0.408, 0.555], [0.394, 0.870, 0.414], [0.189, 0.083, 0.435], [0.087, 0.285, 0.190], [0.039, 0.116, 0.648], [0.819, 0.309, 0.669], [0.841, 0.107, 0.876], [0.302, 0.103, 0.662], [0.175, 0.891, 0.627], [0.809, 0.403, 0.348], [0.715, 0.913, 0.810], [0.412, 0.316, 0.070], [0.331, 0.624, 0.360], [0.917, 0.811, 0.565], [0.457, 0.597, 0.135], [0.893, 0.159, 0.124], [0.592, 0.679, 0.445], [0.117, 0.374, 0.711], [0.130, 0.606, 0.586], [0.298, 0.809, 0.157], [0.091, 0.206, 0.941], [0.609, 0.125, 0.075], [0.900, 0.602, 0.058], [0.386, 0.096, 0.207], [0.968, 0.873, 0.867], [0.421, 0.805, 0.841], [0.376, 0.669, 0.640], [0.884, 0.961, 0.352]]
}

# 3
{
  "formula": "Li3Fe4P6O24",
  "functional": "GGA+U",
  "state": "relaxed",
  "sg": "P-1 (2)",
  "e_form_mev_per_atom": -2293,
  "magmom_total_mub_per_fu": 17.0,
  "lattice_angstrom": [[6.420, 0.000, 0.000], [-2.301, 8.286, 0.000], [-2.523, -1.227, 8.375]],
  "species": ["P", "P", "P", "P", "P", "P", "O", "O", "O", "O", "O", "O", "O", "O", "O", "O", "O", "O", "O", "O", "O", "O", "O", "O", "O", "O", "O", "O", "O", "O", "Li", "Li", "Li", "Fe", "Fe", "Fe", "Fe"],
  "frac_coords": [[0.645, 0.348, 0.145], [0.754, 0.290, 0.715], [0.871, 0.861, 0.654], [0.355, 0.652, 0.855], [0.129, 0.139, 0.346], [0.246, 0.710, 0.285], [0.256, 0.534, 0.253], [0.468, 0.827, 0.271], [0.096, 0.988, 0.656], [0.614, 0.174, 0.188], [0.532, 0.173, 0.729], [0.835, 0.712, 0.535], [0.973, 0.265, 0.830], [0.819, 0.392, 0.048], [0.585, 0.650, 0.972], [0.165, 0.288, 0.465], [0.768, 0.263, 0.542], [0.884, 0.822, 0.823], [0.116, 0.178, 0.177], [0.744, 0.466, 0.747], [0.386, 0.826, 0.812], [0.232, 0.737, 0.458], [0.415, 0.350, 0.028], [0.676, 0.943, 0.593], [0.181, 0.608, 0.952], [0.737, 0.477, 0.293], [0.027, 0.735, 0.170], [0.904, 0.012, 0.344], [0.263, 0.523, 0.707], [0.324, 0.057, 0.407], [0.259, 0.288, 0.708], [0.000, 0.500, 0.500], [0.741, 0.712, 0.292], [0.371, 0.939, 0.627], [0.129, 0.364, 0.061], [0.629, 0.061, 0.373], [0.871, 0.636, 0.939]]
}

# 4
{
  "formula": "LiFePO4",
  "functional": "GGA+U",
  "state": "relaxed",
  "sg": "Pbca (61)",
  "e_form_mev_per_atom": -2423,
  "lattice_angstrom": [[-3.130, -4.350, 2.436], [4.509, 0.254, 6.247], [-8.508, 9.347, 5.760]],
  "species": ["O", "O", "O", "O", "O", "O", "O", "O", "O", "O", "O", "O", "O", "O", "O", "O", "O", "O", "O", "O", "O", "O", "O", "O", "O", "O", "O", "O", "O", "O", "O", "O", "P", "P", "P", "P", "P", "P", "P", "P", "Fe", "Fe", "Fe", "Fe", "Fe", "Fe", "Fe", "Fe", "Li", "Li", "Li", "Li", "Li", "Li", "Li", "Li"],
  "frac_coords": [[0.477, 0.130, 0.137], [0.826, 0.102, 0.729], [0.438, 0.691, 0.585], [0.305, 0.531, 0.944], [0.174, 0.602, 0.771], [0.674, 0.602, 0.729], [0.805, 0.969, 0.056], [0.174, 0.898, 0.271], [0.477, 0.370, 0.637], [0.023, 0.870, 0.637], [0.562, 0.309, 0.415], [0.695, 0.031, 0.556], [0.977, 0.130, 0.363], [0.562, 0.191, 0.915], [0.326, 0.102, 0.771], [0.326, 0.398, 0.271], [0.977, 0.370, 0.863], [0.523, 0.630, 0.363], [0.938, 0.691, 0.915], [0.826, 0.398, 0.229], [0.305, 0.969, 0.444], [0.674, 0.898, 0.229], [0.438, 0.809, 0.085], [0.062, 0.191, 0.585], [0.062, 0.309, 0.085], [0.695, 0.469, 0.056], [0.523, 0.870, 0.863], [0.938, 0.809, 0.415], [0.195, 0.469, 0.444], [0.805, 0.531, 0.556], [0.195, 0.031, 0.944], [0.023, 0.630, 0.137], [0.899, 0.046, 0.629], [0.101, 0.546, 0.871], [0.601, 0.954, 0.129], [0.101, 0.954, 0.371], [0.399, 0.454, 0.371], [0.601, 0.546, 0.629], [0.899, 0.454, 0.129], [0.399, 0.046, 0.871], [0.398, 0.318, 0.036], [0.398, 0.182, 0.536], [0.102, 0.682, 0.536], [0.898, 0.182, 0.964], [0.102, 0.818, 0.036], [0.602, 0.682, 0.964], [0.898, 0.318, 0.464], [0.602, 0.818, 0.464], [0.655, 0.303, 0.776], [0.345, 0.697, 0.224], [0.345, 0.803, 0.724], [0.155, 0.303, 0.724], [0.845, 0.803, 0.776], [0.845, 0.697, 0.276], [0.155, 0.197, 0.224], [0.655, 0.197, 0.276]]
}

Total energy after the MP2020 corrections for every record listed, in sequence, given in eV for the cell shown: -660.01 -590.33 -275.69 -420.36.
Uncorrected energy for every record listed, in sequence, given in eV for the cell shown: -609.76 -539.31 -250.18 -380.32.